Entry 1:
Below is a geometry-optimized Ce2MgSe4 structure, with properties calculated at the PBE level.

The structure in POSCAR format:
```
Ce2MgSe4
1.0
-2.359 0.004 -8.097
5.785 -4.739 -1.687
-7.371 -9.761 2.143
Ce Mg Se
8 4 16
Direct
0.044 0.750 0.313 Ce
0.956 0.250 0.687 Ce
0.456 0.250 0.813 Ce
0.544 0.750 0.187 Ce
0.068 0.250 0.031 Ce
0.932 0.750 0.969 Ce
0.432 0.750 0.531 Ce
0.568 0.250 0.469 Ce
0.184 0.250 0.413 Mg
0.816 0.750 0.587 Mg
0.316 0.750 0.913 Mg
0.684 0.250 0.087 Mg
0.145 0.497 0.843 Se
0.855 0.503 0.157 Se
0.355 0.503 0.343 Se
0.645 0.497 0.657 Se
0.645 0.003 0.657 Se
0.355 0.997 0.343 Se
0.855 0.997 0.157 Se
0.145 0.003 0.843 Se
0.899 0.250 0.452 Se
0.101 0.750 0.548 Se
0.601 0.750 0.952 Se
0.399 0.250 0.048 Se
0.212 0.750 0.109 Se
0.788 0.250 0.891 Se
0.288 0.250 0.609 Se
0.712 0.750 0.391 Se
```

Summary:
Magnetization in μB per formula unit: 2.00
E in eV per atom: -5.4011

***

Entry 2:
Below is a geometry-optimized SmCd20Pd2 structure, with properties calculated at the PBE level.

The structure in POSCAR format:
```
SmCd20Pd2
1.0
0.000 7.969 7.969
7.969 0.000 7.969
7.969 7.969 0.000
Sm Cd Pd
2 40 4
Direct
0.500 0.500 0.500 Sm
0.750 0.750 0.750 Sm
0.569 0.302 0.302 Cd
0.302 0.569 0.826 Cd
0.302 0.826 0.569 Cd
0.826 0.302 0.302 Cd
0.302 0.302 0.569 Cd
0.569 0.826 0.302 Cd
0.826 0.569 0.302 Cd
0.302 0.302 0.826 Cd
0.302 0.569 0.302 Cd
0.826 0.302 0.569 Cd
0.569 0.302 0.826 Cd
0.302 0.826 0.302 Cd
0.681 0.948 0.948 Cd
0.948 0.681 0.424 Cd
0.948 0.424 0.681 Cd
0.424 0.948 0.948 Cd
0.948 0.948 0.681 Cd
0.681 0.424 0.948 Cd
0.424 0.681 0.948 Cd
0.948 0.948 0.424 Cd
0.948 0.681 0.948 Cd
0.424 0.948 0.681 Cd
0.681 0.948 0.424 Cd
0.948 0.424 0.948 Cd
0.862 0.862 0.138 Cd
0.138 0.138 0.862 Cd
0.862 0.138 0.862 Cd
0.138 0.862 0.138 Cd
0.138 0.862 0.862 Cd
0.862 0.138 0.138 Cd
0.388 0.388 0.112 Cd
0.112 0.112 0.388 Cd
0.388 0.112 0.388 Cd
0.112 0.388 0.112 Cd
0.112 0.388 0.388 Cd
0.388 0.112 0.112 Cd
0.125 0.625 0.625 Cd
0.625 0.125 0.625 Cd
0.625 0.625 0.125 Cd
0.625 0.625 0.625 Cd
0.625 0.125 0.125 Pd
0.125 0.625 0.125 Pd
0.125 0.125 0.625 Pd
0.125 0.125 0.125 Pd
```

Summary:
E in eV per atom: -1.6464

***

Entry 3:
Below is a geometry-optimized Na2Y2Ta6Si7S5O48 structure, with properties calculated at the PBE level.

The structure in POSCAR format:
```
Na2Y2Ta6Si7S5O48
1.0
17.843 -0.053 0.000
-4.484 7.762 -0.003
-0.001 -0.010 23.256
Na Y Ta Si S O
6 6 18 21 15 144
Direct
0.995 0.001 0.496 Na
0.496 0.003 0.992 Na
0.336 0.322 0.832 Na
0.824 0.337 0.831 Na
0.325 0.312 0.337 Na
0.835 0.350 0.340 Na
0.000 0.981 0.356 Y
0.501 0.020 0.854 Y
0.993 0.013 0.648 Y
0.495 0.985 0.152 Y
0.837 0.334 0.978 Y
0.335 0.337 0.478 Y
0.501 0.994 0.358 Ta
0.001 0.005 0.855 Ta
0.502 0.007 0.645 Ta
0.001 0.997 0.145 Ta
0.324 0.335 0.688 Ta
0.833 0.311 0.686 Ta
0.331 0.346 0.189 Ta
0.825 0.312 0.190 Ta
0.325 0.328 0.973 Ta
0.829 0.320 0.475 Ta
0.168 0.668 0.021 Ta
0.678 0.674 0.020 Ta
0.171 0.672 0.524 Ta
0.670 0.668 0.522 Ta
0.165 0.681 0.312 Ta
0.681 0.678 0.310 Ta
0.180 0.683 0.809 Ta
0.663 0.646 0.810 Ta
0.146 0.003 0.249 Si
0.642 0.992 0.253 Si
0.351 0.708 0.254 Si
0.857 0.706 0.247 Si
0.143 0.292 0.752 Si
0.649 0.288 0.749 Si
0.358 0.011 0.747 Si
0.851 0.996 0.754 Si
0.978 0.340 0.579 Si
0.688 0.043 0.582 Si
0.336 0.628 0.583 Si
0.834 0.042 0.083 Si
0.189 0.335 0.083 Si
0.312 0.671 0.918 Si
0.812 0.666 0.912 Si
0.524 0.388 0.921 Si
0.162 0.942 0.917 Si
0.310 0.954 0.416 Si
0.812 0.954 0.419 Si
0.664 0.382 0.417 Si
0.024 0.661 0.420 Si
0.999 0.292 0.247 S
0.500 0.295 0.253 S
0.000 0.707 0.754 S
0.499 0.705 0.748 S
0.480 0.335 0.585 S
0.189 0.038 0.584 S
0.831 0.611 0.580 S
0.477 0.610 0.080 S
0.980 0.626 0.085 S
0.331 0.049 0.080 S
0.688 0.338 0.083 S
0.029 0.384 0.914 S
0.666 0.943 0.917 S
0.166 0.391 0.417 S
0.529 0.673 0.414 S
0.119 0.064 0.306 O
0.597 0.033 0.307 O
0.421 0.809 0.306 O
0.910 0.764 0.306 O
0.481 0.177 0.302 O
0.976 0.187 0.299 O
0.099 0.165 0.808 O
0.620 0.176 0.806 O
0.477 0.765 0.800 O
0.986 0.796 0.804 O
0.408 0.054 0.807 O
0.920 0.032 0.807 O
0.407 0.980 0.694 O
0.882 0.948 0.696 O
0.094 0.220 0.694 O
0.585 0.187 0.695 O
0.018 0.808 0.701 O
0.513 0.816 0.697 O
0.383 0.813 0.195 O
0.907 0.834 0.193 O
0.012 0.206 0.197 O
0.518 0.229 0.200 O
0.084 0.980 0.194 O
0.594 0.967 0.193 O
0.437 0.361 0.635 O
0.932 0.364 0.639 O
0.243 0.131 0.636 O
0.753 0.132 0.639 O
0.320 0.496 0.639 O
0.818 0.509 0.632 O
0.437 0.509 0.134 O
0.937 0.513 0.135 O
0.322 0.131 0.132 O
0.818 0.142 0.138 O
0.256 0.372 0.139 O
0.741 0.357 0.136 O
0.239 0.307 0.028 O
0.727 0.315 0.032 O
0.419 0.517 0.030 O
0.929 0.561 0.033 O
0.340 0.153 0.028 O
0.853 0.156 0.027 O
0.228 0.142 0.533 O
0.733 0.166 0.526 O
0.357 0.551 0.527 O
0.837 0.527 0.528 O
0.429 0.297 0.533 O
0.912 0.321 0.526 O
0.256 0.683 0.974 O
0.767 0.692 0.973 O
0.077 0.463 0.970 O
0.586 0.498 0.976 O
0.149 0.825 0.975 O
0.664 0.848 0.972 O
0.266 0.841 0.474 O
0.755 0.828 0.474 O
0.164 0.478 0.471 O
0.648 0.472 0.474 O
0.088 0.677 0.473 O
0.576 0.689 0.469 O
0.066 0.634 0.360 O
0.573 0.654 0.364 O
0.247 0.850 0.360 O
0.756 0.858 0.360 O
0.171 0.489 0.365 O
0.678 0.504 0.361 O
0.073 0.493 0.865 O
0.565 0.499 0.861 O
0.180 0.854 0.861 O
0.670 0.854 0.866 O
0.256 0.652 0.860 O
0.745 0.642 0.860 O
0.019 0.834 0.421 O
0.523 0.834 0.409 O
0.404 0.964 0.403 O
0.906 0.981 0.419 O
0.088 0.221 0.416 O
0.580 0.193 0.403 O
0.024 0.214 0.909 O
0.519 0.205 0.921 O
0.080 0.968 0.904 O
0.587 0.954 0.919 O
0.407 0.831 0.919 O
0.904 0.844 0.903 O
0.494 0.186 0.595 O
0.984 0.168 0.580 O
0.101 0.005 0.591 O
0.595 0.022 0.597 O
0.417 0.816 0.601 O
0.907 0.783 0.583 O
0.483 0.781 0.083 O
0.995 0.803 0.095 O
0.407 0.026 0.082 O
0.915 0.015 0.101 O
0.096 0.168 0.097 O
0.599 0.193 0.089 O
0.342 0.171 0.730 O
0.847 0.177 0.745 O
0.244 0.320 0.745 O
0.748 0.335 0.731 O
0.424 0.524 0.736 O
0.921 0.534 0.748 O
0.347 0.515 0.243 O
0.841 0.514 0.229 O
0.421 0.312 0.243 O
0.923 0.321 0.235 O
0.246 0.161 0.230 O
0.743 0.167 0.245 O
0.311 0.486 0.926 O
0.822 0.499 0.915 O
0.427 0.367 0.930 O
0.942 0.361 0.917 O
0.250 0.134 0.927 O
0.744 0.115 0.919 O
0.323 0.145 0.415 O
0.810 0.135 0.423 O
0.245 0.376 0.418 O
0.751 0.368 0.426 O
0.441 0.522 0.416 O
0.926 0.487 0.426 O
0.177 0.502 0.070 O
0.685 0.502 0.078 O
0.067 0.641 0.077 O
0.563 0.630 0.074 O
0.250 0.874 0.073 O
0.745 0.852 0.075 O
0.189 0.873 0.580 O
0.675 0.849 0.570 O
0.249 0.643 0.574 O
0.750 0.629 0.574 O
0.073 0.512 0.570 O
0.567 0.493 0.578 O
0.154 0.830 0.258 O
0.654 0.829 0.268 O
0.253 0.659 0.270 O
0.760 0.682 0.256 O
0.076 0.463 0.254 O
0.573 0.470 0.265 O
0.156 0.480 0.768 O
0.653 0.477 0.758 O
0.074 0.681 0.767 O
0.576 0.687 0.755 O
0.260 0.838 0.756 O
0.753 0.846 0.772 O
```

Summary:
Magnetization in μB per formula unit: 0.00
E in eV per atom: -7.8853

***

Entry 4:
Below is a geometry-optimized Na2CuPdF6 structure, with properties calculated at the PBE level.

The structure in POSCAR format:
```
Na2CuPdF6
1.0
1.720 -0.534 5.558
-2.064 -4.364 3.290
3.516 -4.397 1.560
Na Cu Pd F
2 1 1 6
Direct
0.750 0.750 0.750 Na
0.250 0.250 0.250 Na
0.500 0.500 0.500 Cu
0.000 0.000 0.000 Pd
0.743 0.257 0.257 F
0.257 0.257 0.743 F
0.257 0.743 0.743 F
0.257 0.743 0.257 F
0.743 0.257 0.743 F
0.743 0.743 0.257 F
```

Summary:
Magnetization in μB per formula unit: 0.01
E in eV per atom: -4.1661

***

Entry 5:
Below is a geometry-optimized NdH4C3O8 structure, with properties calculated at the PBE level.

The structure in POSCAR format:
```
NdH4C3O8
1.0
8.875 0.000 0.000
0.000 9.406 0.000
0.000 0.000 17.105
Nd H C O
8 32 24 64
Direct
0.369 0.242 0.856 Nd
0.131 0.758 0.356 Nd
0.869 0.258 0.144 Nd
0.631 0.742 0.644 Nd
0.124 0.240 0.638 Nd
0.376 0.760 0.138 Nd
0.624 0.260 0.362 Nd
0.876 0.740 0.862 Nd
0.364 0.410 0.013 H
0.136 0.590 0.513 H
0.864 0.090 0.987 H
0.636 0.910 0.487 H
0.692 0.322 0.787 H
0.808 0.678 0.287 H
0.192 0.178 0.213 H
0.308 0.822 0.713 H
0.416 0.059 0.605 H
0.084 0.941 0.105 H
0.916 0.441 0.395 H
0.584 0.559 0.895 H
0.436 0.198 0.555 H
0.064 0.802 0.055 H
0.936 0.302 0.445 H
0.564 0.698 0.945 H
0.142 0.100 0.472 H
0.358 0.900 0.972 H
0.642 0.400 0.528 H
0.858 0.600 0.028 H
0.181 0.258 0.458 H
0.319 0.742 0.958 H
0.681 0.242 0.542 H
0.819 0.758 0.042 H
0.724 0.330 0.876 H
0.776 0.670 0.376 H
0.224 0.170 0.124 H
0.276 0.830 0.624 H
0.478 0.279 0.030 H
0.022 0.721 0.530 H
0.978 0.221 0.970 H
0.522 0.779 0.470 H
0.638 0.005 0.897 C
0.862 0.995 0.397 C
0.138 0.495 0.103 C
0.362 0.505 0.603 C
0.592 0.962 0.812 C
0.908 0.038 0.312 C
0.092 0.538 0.188 C
0.408 0.462 0.688 C
0.136 0.983 0.892 C
0.364 0.017 0.392 C
0.636 0.517 0.108 C
0.864 0.483 0.608 C
0.088 0.018 0.806 C
0.412 0.982 0.306 C
0.588 0.482 0.194 C
0.912 0.518 0.694 C
0.055 0.436 0.886 C
0.445 0.564 0.386 C
0.555 0.064 0.114 C
0.945 0.936 0.614 C
0.182 0.543 0.863 C
0.318 0.457 0.363 C
0.682 0.957 0.137 C
0.818 0.043 0.637 C
0.562 0.101 0.928 O
0.938 0.899 0.428 O
0.062 0.399 0.072 O
0.438 0.601 0.572 O
0.491 0.037 0.781 O
0.009 0.963 0.281 O
0.991 0.463 0.219 O
0.509 0.537 0.719 O
0.255 0.040 0.918 O
0.245 0.960 0.418 O
0.755 0.460 0.082 O
0.745 0.540 0.582 O
0.159 0.119 0.772 O
0.341 0.881 0.272 O
0.659 0.381 0.228 O
0.841 0.619 0.728 O
0.097 0.309 0.898 O
0.403 0.691 0.398 O
0.597 0.191 0.102 O
0.903 0.809 0.602 O
0.317 0.499 0.867 O
0.183 0.501 0.367 O
0.817 0.001 0.133 O
0.683 0.999 0.633 O
0.416 0.327 0.990 O
0.084 0.673 0.490 O
0.916 0.173 0.010 O
0.584 0.827 0.510 O
0.643 0.333 0.838 O
0.857 0.667 0.338 O
0.143 0.167 0.162 O
0.357 0.833 0.662 O
0.750 0.942 0.928 O
0.750 0.058 0.428 O
0.250 0.558 0.072 O
0.250 0.442 0.572 O
0.659 0.855 0.781 O
0.841 0.145 0.281 O
0.159 0.645 0.219 O
0.341 0.355 0.719 O
0.369 0.149 0.592 O
0.131 0.851 0.092 O
0.869 0.351 0.408 O
0.631 0.649 0.908 O
0.109 0.197 0.485 O
0.391 0.803 0.985 O
0.609 0.303 0.515 O
0.891 0.697 0.015 O
0.054 0.896 0.928 O
0.446 0.104 0.428 O
0.554 0.604 0.072 O
0.946 0.396 0.572 O
0.985 0.941 0.779 O
0.515 0.059 0.279 O
0.485 0.559 0.221 O
0.015 0.441 0.721 O
0.923 0.484 0.893 O
0.577 0.516 0.393 O
0.423 0.016 0.107 O
0.077 0.984 0.607 O
0.142 0.668 0.845 O
0.358 0.332 0.345 O
0.642 0.832 0.155 O
0.858 0.168 0.655 O
```

Summary:
Magnetization in μB per formula unit: 0.00
E in eV per atom: -6.8478

***

Number 1: DFT formation energy -1749.4 meV per atom. Number 2: DFT formation energy -188.3 meV per atom. Number 3: DFT formation energy -2886.6 meV per atom. Number 4: DFT formation energy -2102.1 meV per atom. Number 5: DFT formation energy -1840.7 meV per atom.